# 1
ZnCo2O4 after structural relaxation. Source: Materials Project, functional PBE+U.

```
ZnCo2O4
1.0
5.954 0.000 0.000
-2.977 5.156 0.000
0.000 0.000 14.640
Zn Co O
6 12 24
direct
0.000 0.000 0.000
0.000 0.000 0.249
0.000 0.000 0.625
0.333 0.667 0.333
0.333 0.667 0.582
0.667 0.333 0.917
0.001 0.500 0.125
0.167 0.333 0.792
0.167 0.833 0.792
0.331 0.166 0.458
0.333 0.667 0.957
0.500 0.500 0.125
0.500 0.999 0.125
0.667 0.333 0.293
0.667 0.333 0.668
0.667 0.833 0.792
0.834 0.166 0.458
0.834 0.669 0.458
0.000 0.000 0.383
0.000 0.000 0.866
0.028 0.514 0.872
0.156 0.312 0.531
0.156 0.844 0.531
0.181 0.362 0.045
0.181 0.819 0.045
0.317 0.158 0.718
0.333 0.667 0.198
0.333 0.667 0.716
0.361 0.180 0.203
0.486 0.514 0.872
0.486 0.972 0.872
0.515 0.030 0.378
0.515 0.485 0.378
0.638 0.819 0.045
0.667 0.333 0.052
0.667 0.333 0.533
0.688 0.844 0.531
0.820 0.180 0.203
0.820 0.639 0.203
0.842 0.158 0.718
0.842 0.683 0.718
0.970 0.485 0.378
```

DFT formation energy: -1.4060 eV/atom
energy: -5.5838 eV per atom

=====

# 2
ZnCo2O4 after structural relaxation. Source: Materials Project, functional PBE+U.

```
ZnCo2O4
1.0
5.864 0.000 0.000
0.000 10.311 0.000
0.000 0.000 5.017
Zn Co O
4 8 16
direct
0.250 0.250 0.015
0.250 0.750 0.344
0.750 0.250 0.656
0.750 0.750 0.985
0.000 0.000 0.500
0.000 0.500 0.500
0.250 0.518 0.981
0.250 0.982 0.981
0.500 0.000 0.500
0.500 0.500 0.500
0.750 0.018 0.019
0.750 0.482 0.019
0.002 0.115 0.833
0.002 0.385 0.833
0.250 0.096 0.311
0.250 0.404 0.311
0.250 0.609 0.653
0.250 0.891 0.653
0.498 0.115 0.833
0.498 0.385 0.833
0.502 0.615 0.167
0.502 0.885 0.167
0.750 0.109 0.347
0.750 0.391 0.347
0.750 0.596 0.689
0.750 0.904 0.689
0.998 0.615 0.167
0.998 0.885 0.167
```

DFT formation energy: -1.2547 eV/atom
energy: -5.4325 eV per atom

=====

# 3
ZnCo4O9 after structural relaxation. Source: Materials Project, functional PBE+U.

```
ZnCo4O9
1.0
4.862 0.000 0.000
0.023 8.212 0.000
0.001 0.017 8.221
Zn Co O
2 8 18
direct
0.000 0.000 0.000
0.208 0.500 0.501
0.491 0.285 0.091
0.492 0.913 0.286
0.493 0.717 0.913
0.495 0.089 0.718
0.717 0.413 0.787
0.718 0.217 0.414
0.718 0.589 0.218
0.718 0.785 0.590
0.046 0.433 0.731
0.047 0.272 0.435
0.047 0.728 0.569
0.048 0.569 0.272
0.163 0.933 0.230
0.164 0.228 0.069
0.164 0.772 0.935
0.166 0.069 0.773
0.542 0.396 0.294
0.542 0.606 0.711
0.553 0.293 0.608
0.554 0.710 0.396
0.598 0.001 0.502
0.611 0.501 0.002
0.657 0.793 0.107
0.661 0.208 0.897
0.667 0.107 0.212
0.670 0.895 0.793
```

DFT formation energy: -0.9133 eV/atom
energy: -5.3054 eV per atom

=====

# 4
ZnCo2O4 after structural relaxation. Source: Materials Project, functional PBE+U.

```
ZnCo2O4
1.0
2.927 0.000 0.000
0.015 9.691 0.000
0.023 0.002 9.742
Zn Co O
4 8 16
direct
0.000 0.000 0.000
0.002 0.776 0.497
0.530 0.500 0.999
0.532 0.278 0.505
0.014 0.519 0.320
0.018 0.255 0.820
0.019 0.256 0.178
0.022 0.521 0.679
0.506 0.757 0.178
0.510 0.021 0.320
0.511 0.019 0.677
0.513 0.757 0.821
0.005 0.614 0.137
0.009 0.889 0.248
0.010 0.164 0.361
0.011 0.887 0.748
0.014 0.163 0.636
0.016 0.612 0.863
0.029 0.346 0.998
0.030 0.431 0.498
0.500 0.846 0.999
0.503 0.930 0.498
0.510 0.664 0.362
0.516 0.112 0.861
0.517 0.389 0.246
0.518 0.113 0.136
0.521 0.387 0.746
0.523 0.663 0.637
```

DFT formation energy: -1.2160 eV/atom
energy: -5.3937 eV per atom

=====

# 5
ZnCoO2 after structural relaxation. Source: Materials Project, functional PBE+U.

```
ZnCoO2
1.0
3.051 0.000 0.000
-0.224 8.014 0.000
-0.906 -0.645 8.144
Zn Co O
4 4 8
direct
0.144 0.414 0.261
0.270 0.246 0.889
0.730 0.754 0.111
0.856 0.586 0.739
0.209 0.919 0.781
0.498 0.753 0.432
0.502 0.247 0.568
0.791 0.081 0.219
0.038 0.751 0.580
0.269 0.214 0.112
0.302 0.898 0.245
0.344 0.427 0.747
0.656 0.573 0.253
0.698 0.102 0.755
0.731 0.786 0.888
0.962 0.249 0.420
```

DFT formation energy: -1.3777 eV/atom
energy: -5.1907 eV per atom

=====

# 6
ZnCo2O4 after structural relaxation. Source: Materials Project, functional PBE+U.

```
ZnCo2O4
1.0
2.968 1.713 19.466
-2.968 1.713 19.466
0.000 -3.427 19.466
Zn Co O
8 16 32
direct
0.000 0.000 0.000
0.062 0.062 0.062
0.155 0.155 0.155
0.251 0.251 0.251
0.313 0.313 0.313
0.501 0.501 0.501
0.750 0.750 0.750
0.907 0.907 0.907
0.031 0.031 0.531
0.031 0.531 0.031
0.032 0.531 0.531
0.281 0.281 0.779
0.281 0.779 0.281
0.281 0.782 0.782
0.406 0.406 0.406
0.531 0.031 0.031
0.531 0.032 0.531
0.531 0.531 0.032
0.561 0.561 0.561
0.656 0.656 0.656
0.779 0.281 0.281
0.782 0.281 0.782
0.782 0.782 0.281
0.812 0.812 0.812
0.087 0.087 0.616
0.087 0.616 0.087
0.096 0.096 0.096
0.131 0.575 0.575
0.187 0.730 0.730
0.217 0.217 0.217
0.235 0.235 0.685
0.235 0.685 0.235
0.331 0.331 0.878
0.331 0.878 0.331
0.346 0.346 0.346
0.370 0.833 0.833
0.451 0.973 0.973
0.467 0.467 0.467
0.483 0.483 0.939
0.483 0.939 0.483
0.575 0.131 0.575
0.575 0.575 0.131
0.595 0.595 0.595
0.616 0.087 0.087
0.685 0.235 0.235
0.716 0.716 0.716
0.730 0.187 0.730
0.730 0.730 0.187
0.833 0.370 0.833
0.833 0.833 0.370
0.846 0.846 0.846
0.878 0.331 0.331
0.939 0.483 0.483
0.967 0.967 0.967
0.973 0.451 0.973
0.973 0.973 0.451
```

DFT formation energy: -1.4064 eV/atom
energy: -5.5842 eV per atom

=====

# 7
ZnCo2O4 after structural relaxation. Source: Materials Project, functional PBE+U.

```
ZnCo2O4
1.0
9.691 0.000 0.000
0.000 9.742 0.000
0.000 0.000 2.927
Zn Co O
4 8 16
direct
0.112 0.248 0.265
0.388 0.748 0.735
0.612 0.252 0.735
0.888 0.752 0.265
0.131 0.572 0.754
0.134 0.928 0.757
0.366 0.428 0.243
0.369 0.072 0.246
0.631 0.928 0.246
0.634 0.572 0.243
0.866 0.072 0.757
0.869 0.428 0.754
0.000 0.000 0.258
0.000 0.500 0.256
0.042 0.750 0.767
0.224 0.388 0.751
0.225 0.113 0.747
0.275 0.613 0.253
0.276 0.888 0.249
0.458 0.250 0.233
0.500 0.000 0.744
0.500 0.500 0.742
0.542 0.750 0.233
0.724 0.112 0.249
0.725 0.387 0.253
0.775 0.887 0.747
0.776 0.612 0.751
0.958 0.250 0.767
```

DFT formation energy: -1.2024 eV/atom
energy: -5.3802 eV per atom

=====

# 8
ZrCoO3 after structural relaxation. Source: Materials Project, functional PBE+U.

```
ZrCoO3
1.0
5.034 0.000 0.000
0.000 5.414 0.000
-5.027 0.000 8.396
Zr Co O
4 4 12
direct
0.207 0.069 0.250
0.207 0.431 0.750
0.793 0.569 0.250
0.793 0.931 0.750
0.000 0.000 0.500
0.000 0.500 0.000
0.500 0.000 0.000
0.500 0.500 0.500
0.105 0.199 0.909
0.105 0.301 0.409
0.214 0.700 0.909
0.214 0.800 0.409
0.418 0.086 0.749
0.418 0.414 0.249
0.582 0.586 0.751
0.582 0.914 0.251
0.786 0.200 0.591
0.786 0.300 0.091
0.895 0.699 0.591
0.895 0.801 0.091
```

DFT formation energy: -2.7234 eV/atom
energy: -8.0836 eV per atom

=====

# 9
ZrCoO3 after structural relaxation. Source: Materials Project, functional PBE+U.

```
ZrCoO3
1.0
2.479 -4.820 0.022
3.219 1.641 4.413
-5.647 -2.936 4.536
Co Zr O
4 4 12
direct
0.000 0.707 0.649
0.000 0.293 0.351
0.500 0.793 0.851
0.500 0.207 0.149
0.501 0.216 0.642
0.999 0.284 0.858
0.001 0.716 0.142
0.499 0.784 0.358
0.302 0.496 0.749
0.846 0.349 0.602
0.647 0.852 0.598
0.154 0.651 0.398
0.353 0.148 0.402
0.853 0.648 0.902
0.698 0.504 0.251
0.147 0.352 0.098
0.802 0.996 0.249
0.654 0.151 0.898
0.346 0.849 0.102
0.198 0.004 0.751
```

DFT formation energy: -2.7049 eV/atom
energy: -8.0650 eV per atom

=====

# 10
Zr9Co3O2 after structural relaxation. Source: Materials Project, functional PBE+U.

```
Zr9Co3O2
1.0
5.559 -1.657 0.000
5.559 1.657 0.000
-0.054 0.000 26.742
Zr Co O
18 6 4
direct
0.064 0.064 0.417
0.068 0.068 0.082
0.068 0.068 0.748
0.364 0.364 0.020
0.364 0.364 0.480
0.364 0.364 0.686
0.364 0.364 0.814
0.365 0.365 0.147
0.365 0.365 0.354
0.635 0.635 0.646
0.635 0.635 0.853
0.636 0.636 0.186
0.636 0.636 0.314
0.636 0.636 0.520
0.636 0.636 0.980
0.932 0.932 0.252
0.932 0.932 0.918
0.936 0.936 0.583
0.243 0.243 0.249
0.243 0.243 0.915
0.248 0.248 0.584
0.752 0.752 0.416
0.757 0.757 0.085
0.757 0.757 0.751
0.000 0.000 0.000
0.000 0.000 0.500
0.001 0.001 0.334
0.999 0.999 0.666
```

DFT formation energy: -0.7708 eV/atom
energy: -8.0467 eV per atom

=====

# 11
CsCrF4 after structural relaxation. Source: Materials Project, functional PBE+U.

```
CsCrF4
1.0
9.840 0.000 0.000
-4.920 8.522 0.000
0.000 0.000 3.964
Cs Cr F
3 3 12
direct
0.000 0.572 0.000
0.428 0.428 0.000
0.572 0.000 0.000
0.000 0.224 0.500
0.224 0.000 0.500
0.776 0.776 0.500
0.000 0.219 0.000
0.000 0.831 0.500
0.160 0.438 0.500
0.169 0.169 0.500
0.219 0.000 0.000
0.278 0.840 0.500
0.438 0.160 0.500
0.562 0.722 0.500
0.722 0.562 0.500
0.781 0.781 0.000
0.831 0.000 0.500
0.840 0.278 0.500
```

piezoelectric modulus e_max: 0.031 C/m²
DFT formation energy: -3.0964 eV/atom
energy: -5.4897 eV per atom

=====

# 12
Cs2KCrF6 after structural relaxation. Source: Materials Project, functional PBE+U.

```
Cs2KCrF6
1.0
0.000 4.591 4.591
4.591 0.000 4.591
4.591 4.591 0.000
Cs K Cr F
2 1 1 6
direct
0.250 0.250 0.250
0.750 0.750 0.750
0.000 0.000 0.000
0.500 0.500 0.500
0.286 0.286 0.714
0.286 0.714 0.286
0.286 0.714 0.714
0.714 0.286 0.286
0.714 0.286 0.714
0.714 0.714 0.286
```

DFT formation energy: -3.1182 eV/atom
energy: -5.0452 eV per atom

=====

| no. | MP2020-corrected energy (eV per atom) |
| --- | --- |
| 1 | -6.4443 |
| 2 | -6.2931 |
| 3 | -6.2151 |
| 4 | -6.2543 |
| 5 | -5.9437 |
| 6 | -6.4448 |
| 7 | -6.2408 |
| 8 | -8.8234 |
| 9 | -8.8048 |
| 10 | -8.4958 |
| 11 | -6.1308 |
| 12 | -5.5223 |